1.
DFT (PBE) results for a relaxed Ce2Nd2O7 crystal.

## Properties
As for the distance to the lowest polymorph of the same formula: 0 meV per atom.

Lattice parameters (Å, degrees): 11.1041 11.1041 11.1041 90.00 90.00 90.00
Last column: nearest neighbours and their distance in Å.
Space group Fd-3m (No. 227, origin choice 2)
Asymmetric unit:
Ce (0.0000, 0.0000, 0.0000)  6 O 2.24
Nd (0.0000, 0.0000, 0.5000)  8 O 2.40-2.59
O (0.0976, 0.3750, 0.3750)  2 Ce 2.24
O (0.1250, 0.1250, 0.6250)  4 Nd 2.40

2.
DFT (PBE) results for a relaxed TaNi2TeSe crystal.

Lattice parameters (Å, degrees): 6.4952 3.5145 16.5531 90.00 90.00 90.00
Last column: nearest neighbours and their distance in Å.
Space group Pnma (No. 62)
Asymmetric unit:
Ta (0.0918, 0.2500, 0.2213)  2 Se 2.67, 8 Ni 2.71-2.74
Ni (0.1033, 0.2500, 0.6804)  1 Se 2.39, 2 Ni 2.43-2.53, 2 Te 2.56
Ni (0.2144, 0.2500, 0.8207)  1 Se 2.38, 2 Ni 2.43-2.53, 2 Te 2.56
Te (0.0903, 0.2500, 0.4029)  4 Ni 2.56
Se (0.0910, 0.7500, 0.0999)  2 Ni 2.38-2.39

3.
DFT (PBE) results for a relaxed Nd2Al3Ge crystal.

Lattice parameters (Å, degrees): 4.2516 4.3461 7.5521 90.00 90.00 90.00
Last column: nearest neighbours and their distance in Å.
Space group Pmm2 (No. 25)
Asymmetric unit:
Nd (0.0000, 0.0000, 0.0000)  10 Al 3.28-3.32, 2 Ge 3.29
Nd (0.0000, 0.5000, 0.4923)  4 Ge 3.27, 8 Al 3.28-3.31
Al (0.5000, 0.0000, 0.6621)  1 Ge 2.49, 2 Al 2.51
Al (0.5000, 0.5000, 0.1624)  2 Ge 2.52, 1 Al 2.52
Al (0.5000, 0.5000, 0.8282)  3 Al 2.51-2.52
Ge (0.5000, 0.0000, 0.3320)  3 Al 2.49-2.52

4.
DFT (PBE) results for a relaxed TbDyIr2 crystal.

Lattice parameters (Å, degrees): 6.8712 6.8712 6.8712 90.00 90.00 90.00
Last column: nearest neighbours and their distance in Å.
Space group Fm-3m (No. 225)
Asymmetric unit:
Tb (0.0000, 0.0000, 0.0000)  8 Ir 2.98
Dy (0.0000, 0.0000, 0.5000)  8 Ir 2.98
Ir (0.2500, 0.2500, 0.2500)  4 Dy 2.98, 4 Tb 2.98

5.
DFT (PBE) results for a relaxed WN crystal.

Lattice parameters (Å, degrees): 2.9236 2.9236 6.4521 90.00 90.00 120.00
Last column: nearest neighbours and their distance in Å.
Space group P6_3mc (No. 186)
Asymmetric unit:
W (0.3333, 0.6667, 0.0000)  4 N 2.00-2.08
N (0.3333, 0.6667, 0.6895)  4 W 2.00-2.08

6.
DFT (PBE) results for a relaxed Nd2Al3Ga crystal.

## Properties
As for the distance to the lowest polymorph of the same formula: 0 meV per atom.

Lattice parameters (Å, degrees): 5.6659 5.6659 13.9652 90.00 90.00 120.00
Last column: nearest neighbours and their distance in Å.
Space group R-3m (No. 166, hexagonal axes)
Asymmetric unit:
Nd (0.0000, 0.0000, 0.1247)  3 Ga 3.32, 9 Al 3.33-3.34, 4 Nd 3.48
Al (0.0000, 0.5000, 0.0000)  4 Al 2.83, 2 Ga 2.84
Ga (0.0000, 0.0000, 0.5000)  6 Al 2.84

In eV per atom, the final energy values for the records above are, in order, -8.471; -6.477; -4.811; -7.546; -10.716; -4.492.
In meV per atom, the energy of formation from the pure elements values for the records above are, in order, -3813.6; -560.3; -578.2; -816.4; -249.0; -525.2.